Computed, not measured: a relaxed Y2Cr3Si3O12 crystal at the GGA+U level of DFT.

Results
* energy of formation: -2907 meV per atom
* raw total energy: -8.072 eV/atom
* crystal system: cubic

Structure (POSCAR):
```
Y2Cr3Si3O12
1.0
-6.235 6.235 6.235
6.235 -6.235 6.235
6.235 6.235 -6.235
O Cr Si Y
48 12 12 8
Direct
0.279 0.297 0.909 O
0.982 0.779 0.870 O
0.612 0.909 0.130 O
0.779 0.870 0.982 O
0.409 0.797 0.779 O
0.591 0.888 0.370 O
0.297 0.909 0.279 O
0.388 0.797 0.518 O
0.112 0.630 0.409 O
0.630 0.721 0.518 O
0.703 0.112 0.982 O
0.370 0.279 0.482 O
0.091 0.721 0.703 O
0.221 0.130 0.018 O
0.221 0.591 0.203 O
0.797 0.518 0.388 O
0.870 0.982 0.779 O
0.870 0.388 0.091 O
0.909 0.130 0.612 O
0.112 0.982 0.703 O
0.797 0.779 0.409 O
0.482 0.612 0.203 O
0.482 0.370 0.279 O
0.388 0.091 0.870 O
0.018 0.221 0.130 O
0.130 0.612 0.909 O
0.591 0.203 0.221 O
0.612 0.203 0.482 O
0.888 0.370 0.591 O
0.982 0.703 0.112 O
0.703 0.091 0.721 O
0.888 0.018 0.297 O
0.518 0.388 0.797 O
0.779 0.409 0.797 O
0.909 0.279 0.297 O
0.018 0.297 0.888 O
0.130 0.018 0.221 O
0.370 0.591 0.888 O
0.409 0.112 0.630 O
0.203 0.221 0.591 O
0.297 0.888 0.018 O
0.518 0.630 0.721 O
0.203 0.482 0.612 O
0.279 0.482 0.370 O
0.721 0.703 0.091 O
0.721 0.518 0.630 O
0.630 0.409 0.112 O
0.091 0.870 0.388 O
0.875 0.625 0.250 Cr
0.625 0.875 0.750 Cr
0.125 0.375 0.750 Cr
0.375 0.125 0.250 Cr
0.250 0.375 0.125 Cr
0.750 0.125 0.375 Cr
0.625 0.250 0.875 Cr
0.875 0.750 0.625 Cr
0.375 0.750 0.125 Cr
0.250 0.875 0.625 Cr
0.125 0.250 0.375 Cr
0.750 0.625 0.875 Cr
0.125 0.750 0.875 Si
0.750 0.375 0.625 Si
0.875 0.125 0.750 Si
0.625 0.750 0.375 Si
0.375 0.625 0.750 Si
0.625 0.375 0.250 Si
0.750 0.875 0.125 Si
0.250 0.125 0.875 Si
0.250 0.625 0.375 Si
0.125 0.875 0.250 Si
0.375 0.250 0.625 Si
0.875 0.250 0.125 Si
0.500 0.000 0.000 Y
0.500 0.000 0.500 Y
0.000 0.500 0.000 Y
0.000 0.500 0.500 Y
0.000 0.000 0.500 Y
0.500 0.500 0.500 Y
0.500 0.500 0.000 Y
0.000 0.000 0.000 Y
```



Computed, not measured: a relaxed Cs5FeO4 crystal at the GGA+U level of DFT.

Results
* energy of formation: -1456 meV per atom
* raw total energy: -4.230 eV/atom
* crystal system: monoclinic

Structure (POSCAR):
```
Cs5FeO4
1.0
-3.840 -6.935 7.474
-2.470 -5.760 -6.613
9.682 -5.848 -0.452
Cs Fe O
20 4 16
Direct
0.170 0.044 0.469 Cs
0.352 0.732 0.739 Cs
0.648 0.268 0.261 Cs
0.809 0.565 0.022 Cs
0.691 0.565 0.522 Cs
0.972 0.398 0.361 Cs
0.528 0.398 0.861 Cs
0.191 0.435 0.978 Cs
0.991 0.893 0.859 Cs
0.148 0.732 0.239 Cs
0.491 0.107 0.641 Cs
0.852 0.268 0.761 Cs
0.009 0.107 0.141 Cs
0.330 0.044 0.969 Cs
0.509 0.893 0.359 Cs
0.028 0.602 0.639 Cs
0.472 0.602 0.139 Cs
0.830 0.956 0.531 Cs
0.309 0.435 0.478 Cs
0.670 0.956 0.031 Cs
0.167 0.221 0.732 Fe
0.333 0.221 0.232 Fe
0.667 0.779 0.768 Fe
0.833 0.779 0.268 Fe
0.298 0.362 0.744 O
0.269 0.026 0.216 O
0.938 0.711 0.403 O
0.572 0.794 0.621 O
0.769 0.974 0.284 O
0.702 0.638 0.256 O
0.928 0.794 0.121 O
0.438 0.289 0.097 O
0.202 0.362 0.244 O
0.231 0.026 0.716 O
0.731 0.974 0.784 O
0.798 0.638 0.756 O
0.562 0.711 0.903 O
0.072 0.206 0.879 O
0.428 0.206 0.379 O
0.062 0.289 0.597 O
```



Computed, not measured: a relaxed Co3As4O16 crystal at the GGA+U level of DFT.

Results
* energy of formation: -1198 meV per atom
* raw total energy: -5.686 eV/atom
* crystal system: monoclinic

Structure (POSCAR):
```
Co3As4O16
1.0
-3.756 -2.588 2.114
-2.905 -2.453 -8.165
6.448 -12.975 -4.429
O Co As
32 6 8
Direct
0.454 0.804 0.248 O
0.160 0.966 0.876 O
0.193 0.595 0.907 O
0.691 0.470 0.905 O
0.807 0.405 0.093 O
0.046 0.804 0.748 O
0.402 0.903 0.058 O
0.660 0.034 0.624 O
0.309 0.530 0.095 O
0.330 0.291 0.503 O
0.411 0.374 0.305 O
0.902 0.097 0.442 O
0.840 0.034 0.124 O
0.693 0.405 0.593 O
0.642 0.875 0.836 O
0.546 0.196 0.752 O
0.911 0.626 0.195 O
0.589 0.626 0.695 O
0.809 0.470 0.405 O
0.670 0.709 0.497 O
0.191 0.530 0.595 O
0.358 0.125 0.164 O
0.142 0.125 0.664 O
0.098 0.903 0.558 O
0.170 0.291 0.003 O
0.598 0.097 0.942 O
0.340 0.966 0.376 O
0.307 0.595 0.407 O
0.089 0.374 0.805 O
0.954 0.196 0.252 O
0.858 0.875 0.336 O
0.830 0.709 0.997 O
0.000 0.500 0.500 Co
0.982 0.792 0.871 Co
0.482 0.208 0.629 Co
0.518 0.792 0.371 Co
0.018 0.208 0.129 Co
0.500 0.500 0.000 Co
0.487 0.032 0.856 As
0.526 0.576 0.603 As
0.513 0.968 0.144 As
0.026 0.424 0.897 As
0.013 0.032 0.356 As
0.974 0.576 0.103 As
0.987 0.968 0.644 As
0.474 0.424 0.397 As
```



Computed, not measured: a relaxed LiMn2O4 crystal at the GGA+U level of DFT.

Results
* energy of formation: -2023 meV per atom
* raw total energy: -6.872 eV/atom
* crystal system: cubic

Structure (POSCAR):
```
LiMn2O4
1.0
-4.974 -3.254 -0.374
-2.248 -2.574 4.877
-5.073 2.031 2.370
O Mn Li
8 4 2
Direct
0.914 0.362 0.362 O
0.888 0.336 0.888 O
0.362 0.362 0.914 O
0.336 0.888 0.888 O
0.362 0.914 0.362 O
0.888 0.888 0.336 O
0.362 0.362 0.362 O
0.888 0.888 0.888 O
0.125 0.125 0.625 Mn
0.625 0.125 0.125 Mn
0.125 0.625 0.125 Mn
0.125 0.125 0.125 Mn
0.500 0.500 0.500 Li
0.750 0.750 0.750 Li
```



Computed, not measured: a relaxed NaTbMnWO6 crystal at the GGA+U level of DFT.

Results
* energy of formation: -2418 meV per atom
* raw total energy: -7.172 eV/atom
* crystal system: cubic

Structure (POSCAR):
```
NaTbMnWO6
1.0
0.000 -4.006 -4.006
4.006 0.000 -4.006
4.006 -4.006 0.000
Mn O Tb W Na
1 6 1 1 1
Direct
0.000 0.000 0.000 Mn
0.741 0.741 0.259 O
0.259 0.741 0.259 O
0.259 0.259 0.741 O
0.741 0.259 0.741 O
0.741 0.259 0.259 O
0.259 0.741 0.741 O
0.750 0.750 0.750 Tb
0.500 0.500 0.500 W
0.250 0.250 0.250 Na
```



Computed, not measured: a relaxed SrCeVO4 crystal at the GGA+U level of DFT.

Results
* energy of formation: -3029 meV per atom
* raw total energy: -7.608 eV/atom
* crystal system: tetragonal

Structure (POSCAR):
```
SrCeVO4
1.0
-4.515 -2.792 4.339
-6.855 -0.065 0.109
5.683 -0.905 -3.727
O V Ce Sr
4 1 1 1
Direct
0.992 0.492 0.500 O
0.179 0.179 0.000 O
0.833 0.833 0.000 O
0.492 0.992 0.500 O
0.001 0.001 0.000 V
0.357 0.357 0.000 Ce
0.644 0.644 0.000 Sr
```



Computed, not measured: a relaxed SrLa3MnO12 crystal at the GGA+U level of DFT.

Results
* energy of formation: -2123 meV per atom
* raw total energy: -6.542 eV/atom
* crystal system: trigonal

Structure (POSCAR):
```
SrLa3MnO12
1.0
8.909 -2.685 0.000
8.909 2.685 0.000
8.100 0.000 4.579
O La Mn Sr
12 3 1 1
Direct
0.338 0.888 0.394 O
0.113 0.612 0.641 O
0.641 0.113 0.612 O
0.612 0.641 0.113 O
0.383 0.888 0.866 O
0.131 0.622 0.120 O
0.120 0.131 0.622 O
0.394 0.338 0.888 O
0.888 0.866 0.383 O
0.866 0.383 0.888 O
0.622 0.120 0.131 O
0.888 0.394 0.338 O
0.872 0.872 0.872 La
0.124 0.124 0.124 La
0.378 0.378 0.378 La
0.253 0.253 0.253 Mn
0.628 0.628 0.628 Sr
```



Computed, not measured: a relaxed Li3Fe2Si2O8 crystal at the GGA+U level of DFT.

Results
* energy of formation: -2516 meV per atom
* raw total energy: -6.722 eV/atom
* crystal system: monoclinic

Structure (POSCAR):
```
Li3Fe2Si2O8
1.0
-0.852 5.803 8.866
-4.837 1.187 -1.242
-2.201 -5.300 3.257
Si O Li Fe
4 16 6 4
Direct
0.906 0.430 0.010 Si
0.588 0.941 0.496 Si
0.406 0.570 0.990 Si
0.088 0.059 0.504 Si
0.940 0.993 0.509 O
0.614 0.622 0.517 O
0.909 0.111 0.001 O
0.330 0.452 0.191 O
0.114 0.378 0.483 O
0.830 0.548 0.809 O
0.157 0.950 0.710 O
0.158 0.932 0.295 O
0.658 0.068 0.705 O
0.832 0.539 0.206 O
0.409 0.889 0.999 O
0.440 0.007 0.491 O
0.556 0.456 0.989 O
0.657 0.050 0.290 O
0.332 0.461 0.794 O
0.056 0.544 0.011 O
0.344 0.066 0.250 Li
0.844 0.934 0.750 Li
0.574 0.044 0.019 Li
0.160 0.564 0.738 Li
0.660 0.436 0.262 Li
0.074 0.956 0.981 Li
0.664 0.440 0.749 Fe
0.164 0.560 0.251 Fe
0.841 0.918 0.267 Fe
0.341 0.082 0.733 Fe
```



Computed, not measured: a relaxed Sc2Mo3O12 crystal at the GGA+U level of DFT.

Results
* energy of formation: -2617 meV per atom
* raw total energy: -7.719 eV/atom
* crystal system: orthorhombic

Structure (POSCAR):
```
Sc2Mo3O12
1.0
-4.228 -3.915 -7.832
7.770 -5.874 -1.259
-5.847 -9.421 7.865
O Sc Mo
48 8 12
Direct
0.182 0.014 0.240 O
0.867 0.631 0.436 O
0.682 0.486 0.740 O
0.319 0.934 0.529 O
0.641 0.208 0.664 O
0.859 0.708 0.836 O
0.141 0.208 0.836 O
0.080 0.663 0.587 O
0.859 0.792 0.164 O
0.181 0.066 0.029 O
0.819 0.566 0.029 O
0.075 0.912 0.859 O
0.633 0.131 0.064 O
0.182 0.486 0.760 O
0.420 0.163 0.913 O
0.818 0.514 0.240 O
0.367 0.631 0.064 O
0.575 0.912 0.641 O
0.681 0.434 0.529 O
0.133 0.369 0.564 O
0.141 0.292 0.164 O
0.633 0.369 0.936 O
0.575 0.588 0.359 O
0.080 0.837 0.413 O
0.318 0.986 0.740 O
0.359 0.792 0.336 O
0.425 0.412 0.641 O
0.367 0.869 0.936 O
0.925 0.088 0.141 O
0.818 0.986 0.760 O
0.075 0.588 0.141 O
0.819 0.934 0.971 O
0.133 0.131 0.436 O
0.920 0.337 0.413 O
0.425 0.088 0.359 O
0.318 0.514 0.260 O
0.681 0.066 0.471 O
0.867 0.869 0.564 O
0.920 0.163 0.587 O
0.319 0.566 0.471 O
0.359 0.708 0.664 O
0.420 0.337 0.087 O
0.641 0.292 0.336 O
0.580 0.663 0.913 O
0.181 0.434 0.971 O
0.580 0.837 0.087 O
0.925 0.412 0.859 O
0.682 0.014 0.260 O
0.251 0.033 0.882 Sc
0.251 0.467 0.118 Sc
0.751 0.467 0.382 Sc
0.751 0.033 0.618 Sc
0.249 0.967 0.382 Sc
0.749 0.967 0.118 Sc
0.749 0.533 0.882 Sc
0.249 0.533 0.618 Sc
0.893 0.885 0.856 Mo
0.473 0.750 0.000 Mo
0.893 0.615 0.144 Mo
0.607 0.385 0.644 Mo
0.393 0.615 0.356 Mo
0.973 0.750 0.500 Mo
0.107 0.115 0.144 Mo
0.027 0.250 0.500 Mo
0.607 0.115 0.356 Mo
0.107 0.385 0.856 Mo
0.527 0.250 0.000 Mo
0.393 0.885 0.644 Mo
```



Computed, not measured: a relaxed K3CoO2 crystal at the GGA+U level of DFT.

Results
* energy of formation: -1260 meV per atom
* raw total energy: -4.147 eV/atom
* crystal system: orthorhombic

Structure (POSCAR):
```
K3CoO2
1.0
-1.023 3.941 -4.482
2.909 -4.745 -4.837
-10.811 -4.820 -1.774
K Co O
12 4 8
Direct
0.165 0.500 0.360 K
0.665 0.000 0.140 K
0.835 0.500 0.640 K
0.335 0.000 0.860 K
0.281 0.250 0.594 K
0.665 0.500 0.140 K
0.165 0.000 0.360 K
0.835 0.000 0.640 K
0.719 0.750 0.406 K
0.335 0.500 0.860 K
0.219 0.250 0.094 K
0.781 0.750 0.906 K
0.823 0.250 0.882 Co
0.677 0.250 0.382 Co
0.177 0.750 0.118 Co
0.323 0.750 0.618 Co
0.959 0.750 0.217 O
0.405 0.750 0.026 O
0.905 0.250 0.474 O
0.041 0.250 0.783 O
0.595 0.250 0.974 O
0.541 0.750 0.717 O
0.459 0.250 0.283 O
0.095 0.750 0.526 O
```



Computed, not measured: a relaxed MgMn3CuO8 crystal at the GGA+U level of DFT.

Results
* energy of formation: -1797 meV per atom
* raw total energy: -6.587 eV/atom
* crystal system: triclinic

Structure (POSCAR):
```
MgMn3CuO8
1.0
-6.321 5.960 5.653
-9.337 0.868 4.898
-10.325 4.132 9.766
O Cu Mg Mn
8 1 1 3
Direct
0.495 0.466 0.760 O
0.495 0.029 0.250 O
0.001 0.059 0.702 O
0.999 0.941 0.298 O
0.505 0.971 0.750 O
0.504 0.534 0.240 O
0.998 0.487 0.275 O
0.002 0.513 0.725 O
0.000 0.000 0.000 Cu
0.000 0.500 0.500 Mg
0.000 0.500 0.000 Mn
0.500 0.500 0.000 Mn
0.500 0.000 0.000 Mn
```



What did the third record say?
Computed, not measured: a relaxed Co3As4O16 crystal at the GGA+U level of DFT.

Results
* energy of formation: -1198 meV per atom
* raw total energy: -5.686 eV/atom
* crystal system: monoclinic

Structure (POSCAR):
```
Co3As4O16
1.0
-3.756 -2.588 2.114
-2.905 -2.453 -8.165
6.448 -12.975 -4.429
O Co As
32 6 8
Direct
0.454 0.804 0.248 O
0.160 0.966 0.876 O
0.193 0.595 0.907 O
0.691 0.470 0.905 O
0.807 0.405 0.093 O
0.046 0.804 0.748 O
0.402 0.903 0.058 O
0.660 0.034 0.624 O
0.309 0.530 0.095 O
0.330 0.291 0.503 O
0.411 0.374 0.305 O
0.902 0.097 0.442 O
0.840 0.034 0.124 O
0.693 0.405 0.593 O
0.642 0.875 0.836 O
0.546 0.196 0.752 O
0.911 0.626 0.195 O
0.589 0.626 0.695 O
0.809 0.470 0.405 O
0.670 0.709 0.497 O
0.191 0.530 0.595 O
0.358 0.125 0.164 O
0.142 0.125 0.664 O
0.098 0.903 0.558 O
0.170 0.291 0.003 O
0.598 0.097 0.942 O
0.340 0.966 0.376 O
0.307 0.595 0.407 O
0.089 0.374 0.805 O
0.954 0.196 0.252 O
0.858 0.875 0.336 O
0.830 0.709 0.997 O
0.000 0.500 0.500 Co
0.982 0.792 0.871 Co
0.482 0.208 0.629 Co
0.518 0.792 0.371 Co
0.018 0.208 0.129 Co
0.500 0.500 0.000 Co
0.487 0.032 0.856 As
0.526 0.576 0.603 As
0.513 0.968 0.144 As
0.026 0.424 0.897 As
0.013 0.032 0.356 As
0.974 0.576 0.103 As
0.987 0.968 0.644 As
0.474 0.424 0.397 As
```



> Which value of raw total energy does entry 3 give?

-5.686 eV/atom



> Which value of energy of formation does entry 11 give?

-1797 meV per atom



> Which of these has the lowest raw total energy?

Y2Cr3Si3O12